A plane-wave DFT calculation with PBE-GGA was carried out for an optimized crystal structure of Na2La4In4SiS11O48.

Cell lengths 9.2198, 15.8937, 24.3722 Å; angles 89.99, 89.99, 89.99 degrees
Space group P1 (No. 1)
Unique sites:
Na 0.0000 0.0000 0.0000 (multiplicity 1)
Na 0.0035 0.9945 0.5044 (multiplicity 1)
Na 0.0134 0.6529 0.3377 (multiplicity 1)
Na 0.4695 0.1541 0.8389 (multiplicity 1)
Na 0.4815 0.4962 0.4965 (multiplicity 1)
Na 0.4892 0.4816 0.9985 (multiplicity 1)
La 0.0012 0.3115 0.8216 (multiplicity 1)
La 0.0031 0.9905 0.6510 (multiplicity 1)
La 0.4779 0.1509 0.6823 (multiplicity 1)
La 0.4827 0.1507 0.4771 (multiplicity 1)
La 0.4835 0.8126 0.3089 (multiplicity 1)
La 0.4856 0.4923 0.3488 (multiplicity 1)
La 0.4868 0.8159 0.5149 (multiplicity 1)
La 0.4898 0.4889 0.6511 (multiplicity 1)
La 0.9920 0.6522 0.6928 (multiplicity 1)
La 0.9946 0.3084 0.5224 (multiplicity 1)
La 0.9967 0.9913 0.8588 (multiplicity 1)
La 0.9994 0.6512 0.4766 (multiplicity 1)
In 0.4840 0.1527 0.9863 (multiplicity 1)
In 0.4895 0.1503 0.1846 (multiplicity 1)
In 0.4906 0.4780 0.1520 (multiplicity 1)
In 0.4909 0.4862 0.8549 (multiplicity 1)
In 0.4910 0.8145 0.0220 (multiplicity 1)
In 0.4941 0.8167 0.8218 (multiplicity 1)
In 0.9888 0.3157 0.3110 (multiplicity 1)
In 0.9900 0.6520 0.9830 (multiplicity 1)
In 0.9910 0.9867 0.3441 (multiplicity 1)
In 0.9908 0.9923 0.1487 (multiplicity 1)
In 0.9927 0.3181 0.0185 (multiplicity 1)
In 0.9928 0.6517 0.1775 (multiplicity 1)
Si 0.1484 0.1702 0.9270 (multiplicity 1)
Si 0.1890 0.1443 0.5819 (multiplicity 1)
Si 0.3410 0.6645 0.4148 (multiplicity 1)
S 0.1151 0.8384 0.2441 (multiplicity 1)
S 0.1376 0.8007 0.5841 (multiplicity 1)
S 0.1409 0.1317 0.2481 (multiplicity 1)
S 0.1428 0.5031 0.5840 (multiplicity 1)
S 0.1461 0.4727 0.9232 (multiplicity 1)
S 0.1827 0.4860 0.2444 (multiplicity 1)
S 0.2070 0.8100 0.9234 (multiplicity 1)
S 0.2767 0.3189 0.4094 (multiplicity 1)
S 0.2840 0.6492 0.0829 (multiplicity 1)
S 0.3046 0.9760 0.7574 (multiplicity 1)
S 0.3197 0.9664 0.4110 (multiplicity 1)
S 0.3419 0.0039 0.0851 (multiplicity 1)
S 0.3487 0.3004 0.0862 (multiplicity 1)
S 0.3524 0.3393 0.7581 (multiplicity 1)
S 0.3543 0.6363 0.7604 (multiplicity 1)
S 0.6244 0.9609 0.9228 (multiplicity 1)
S 0.6340 0.3067 0.5823 (multiplicity 1)
S 0.6378 0.6712 0.9207 (multiplicity 1)
S 0.6427 0.3320 0.2459 (multiplicity 1)
S 0.6474 0.0004 0.5820 (multiplicity 1)
S 0.6548 0.6277 0.2396 (multiplicity 1)
S 0.6857 0.3221 0.9224 (multiplicity 1)
S 0.6945 0.6504 0.5826 (multiplicity 1)
S 0.7071 0.9936 0.2450 (multiplicity 1)
S 0.7774 0.1503 0.0827 (multiplicity 1)
S 0.7784 0.4846 0.7579 (multiplicity 1)
S 0.7988 0.8287 0.4107 (multiplicity 1)
S 0.8247 0.8384 0.7557 (multiplicity 1)
S 0.8310 0.1364 0.7534 (multiplicity 1)
S 0.8429 0.5045 0.0805 (multiplicity 1)
S 0.8469 0.7985 0.0809 (multiplicity 1)
S 0.8477 0.4609 0.4101 (multiplicity 1)
S 0.8532 0.1653 0.4072 (multiplicity 1)
O 0.0474 0.7526 0.2386 (multiplicity 1)
O 0.0514 0.8760 0.2949 (multiplicity 1)
O 0.0665 0.8842 0.5852 (multiplicity 1)
O 0.0676 0.0956 0.1986 (multiplicity 1)
O 0.0717 0.4210 0.5826 (multiplicity 1)
O 0.0748 0.0756 0.9260 (multiplicity 1)
O 0.0749 0.2192 0.9790 (multiplicity 1)
O 0.0763 0.2155 0.2580 (multiplicity 1)
O 0.0815 0.5576 0.9317 (multiplicity 1)
O 0.0834 0.7573 0.5344 (multiplicity 1)
O 0.0829 0.8899 0.1947 (multiplicity 1)
O 0.0837 0.4374 0.8727 (multiplicity 1)
O 0.0851 0.0612 0.5807 (multiplicity 1)
O 0.0887 0.5618 0.2346 (multiplicity 1)
O 0.0900 0.2277 0.5804 (multiplicity 1)
O 0.0910 0.4106 0.2526 (multiplicity 1)
O 0.0979 0.5484 0.6345 (multiplicity 1)
O 0.0978 0.7523 0.6341 (multiplicity 1)
O 0.1077 0.5526 0.5344 (multiplicity 1)
O 0.1104 0.8838 0.9191 (multiplicity 1)
O 0.1180 0.2176 0.8686 (multiplicity 1)
O 0.1190 0.7320 0.9300 (multiplicity 1)
O 0.1208 0.4185 0.9719 (multiplicity 1)
O 0.1223 0.0754 0.2965 (multiplicity 1)
O 0.1577 0.9742 0.4057 (multiplicity 1)
O 0.1645 0.6552 0.4111 (multiplicity 1)
O 0.1787 0.9947 0.0921 (multiplicity 1)
O 0.1833 0.3158 0.3594 (multiplicity 1)
O 0.1899 0.3285 0.4599 (multiplicity 1)
O 0.1896 0.6339 0.0345 (multiplicity 1)
O 0.1916 0.3120 0.0786 (multiplicity 1)
O 0.1938 0.3346 0.7597 (multiplicity 1)
O 0.1951 0.6655 0.1332 (multiplicity 1)
O 0.1960 0.6445 0.7542 (multiplicity 1)
O 0.2044 0.9870 0.8043 (multiplicity 1)
O 0.2223 0.9672 0.7056 (multiplicity 1)
O 0.2688 0.5050 0.2941 (multiplicity 1)
O 0.2731 0.8305 0.2492 (multiplicity 1)
O 0.2780 0.1459 0.6397 (multiplicity 1)
O 0.2799 0.4715 0.1960 (multiplicity 1)
O 0.2954 0.7994 0.8729 (multiplicity 1)
O 0.2959 0.1404 0.5289 (multiplicity 1)
O 0.2959 0.8098 0.5824 (multiplicity 1)
O 0.2996 0.1400 0.2382 (multiplicity 1)
O 0.3004 0.8235 0.9727 (multiplicity 1)
O 0.3038 0.4927 0.5840 (multiplicity 1)
O 0.3094 0.4821 0.9176 (multiplicity 1)
O 0.3268 0.1625 0.9293 (multiplicity 1)
O 0.3457 0.9193 0.4625 (multiplicity 1)
O 0.3627 0.0581 0.0363 (multiplicity 1)
O 0.3652 0.2421 0.4110 (multiplicity 1)
O 0.3731 0.3934 0.4065 (multiplicity 1)
O 0.3749 0.2479 0.1359 (multiplicity 1)
O 0.3769 0.7249 0.0747 (multiplicity 1)
O 0.3779 0.5731 0.0905 (multiplicity 1)
O 0.3787 0.9212 0.3630 (multiplicity 1)
O 0.3821 0.5805 0.8084 (multiplicity 1)
O 0.3857 0.0504 0.4135 (multiplicity 1)
O 0.3906 0.8982 0.7647 (multiplicity 1)
O 0.3916 0.7124 0.4706 (multiplicity 1)
O 0.3926 0.3838 0.7069 (multiplicity 1)
O 0.3927 0.7142 0.3591 (multiplicity 1)
O 0.4012 0.0509 0.7557 (multiplicity 1)
O 0.4071 0.0421 0.1352 (multiplicity 1)
O 0.4071 0.3852 0.8075 (multiplicity 1)
O 0.4067 0.9192 0.0767 (multiplicity 1)
O 0.4163 0.5709 0.4174 (multiplicity 1)
O 0.4184 0.2542 0.7591 (multiplicity 1)
O 0.4177 0.6006 0.7095 (multiplicity 1)
O 0.4194 0.3869 0.0927 (multiplicity 1)
O 0.4211 0.2638 0.0371 (multiplicity 1)
O 0.4214 0.7195 0.7689 (multiplicity 1)
O 0.5596 0.0463 0.9276 (multiplicity 1)
O 0.5619 0.3909 0.5828 (multiplicity 1)
O 0.5632 0.9226 0.8719 (multiplicity 1)
O 0.5665 0.7090 0.9698 (multiplicity 1)
O 0.5710 0.3684 0.2945 (multiplicity 1)
O 0.5718 0.5851 0.9140 (multiplicity 1)
O 0.5734 0.9189 0.5788 (multiplicity 1)
O 0.5785 0.2481 0.2348 (multiplicity 1)
O 0.5830 0.2618 0.5327 (multiplicity 1)
O 0.5864 0.3984 0.9175 (multiplicity 1)
O 0.5873 0.5830 0.1920 (multiplicity 1)
O 0.5895 0.7116 0.2431 (multiplicity 1)
O 0.5906 0.9091 0.9721 (multiplicity 1)
O 0.5957 0.2452 0.9305 (multiplicity 1)
O 0.5972 0.2601 0.6329 (multiplicity 1)
O 0.5968 0.5749 0.5827 (multiplicity 1)
O 0.5985 0.0443 0.6325 (multiplicity 1)
O 0.6075 0.7276 0.5822 (multiplicity 1)
O 0.6144 0.0520 0.5325 (multiplicity 1)
O 0.6144 0.7226 0.8707 (multiplicity 1)
O 0.6145 0.9196 0.2524 (multiplicity 1)
O 0.6175 0.0707 0.2375 (multiplicity 1)
O 0.6227 0.3885 0.1967 (multiplicity 1)
O 0.6356 0.5797 0.2910 (multiplicity 1)
O 0.6654 0.8296 0.7639 (multiplicity 1)
O 0.6711 0.1446 0.7545 (multiplicity 1)
O 0.6821 0.4945 0.0881 (multiplicity 1)
O 0.6818 0.4960 0.8066 (multiplicity 1)
O 0.6849 0.1330 0.0332 (multiplicity 1)
O 0.6871 0.1598 0.1327 (multiplicity 1)
O 0.6870 0.4666 0.4082 (multiplicity 1)
O 0.6871 0.8056 0.0721 (multiplicity 1)
O 0.6910 0.4752 0.7070 (multiplicity 1)
O 0.6954 0.1565 0.4116 (multiplicity 1)
O 0.7024 0.8218 0.3627 (multiplicity 1)
O 0.7165 0.8381 0.4625 (multiplicity 1)
O 0.7687 0.3110 0.8713 (multiplicity 1)
O 0.7798 0.3383 0.9708 (multiplicity 1)
O 0.7839 0.6440 0.5322 (multiplicity 1)
O 0.7844 0.9669 0.9191 (multiplicity 1)
O 0.7867 0.6489 0.6325 (multiplicity 1)
O 0.7915 0.3188 0.5807 (multiplicity 1)
O 0.7972 0.6632 0.9291 (multiplicity 1)
O 0.7988 0.0084 0.2945 (multiplicity 1)
O 0.7990 0.9784 0.1953 (multiplicity 1)
O 0.8019 0.3232 0.2545 (multiplicity 1)
O 0.8070 0.9881 0.5837 (multiplicity 1)
O 0.8153 0.6353 0.2321 (multiplicity 1)
O 0.8498 0.8873 0.7050 (multiplicity 1)
O 0.8635 0.5610 0.0318 (multiplicity 1)
O 0.8661 0.2263 0.0754 (multiplicity 1)
O 0.8687 0.4098 0.7642 (multiplicity 1)
O 0.8688 0.5609 0.7536 (multiplicity 1)
O 0.8686 0.7453 0.1307 (multiplicity 1)
O 0.8742 0.0853 0.8019 (multiplicity 1)
O 0.8752 0.0732 0.0880 (multiplicity 1)
O 0.8810 0.0948 0.7024 (multiplicity 1)
O 0.8879 0.2181 0.3585 (multiplicity 1)
O 0.8877 0.4179 0.4614 (multiplicity 1)
O 0.8892 0.7532 0.7500 (multiplicity 1)
O 0.8913 0.8799 0.8039 (multiplicity 1)
O 0.8917 0.7523 0.4126 (multiplicity 1)
O 0.8930 0.9052 0.4057 (multiplicity 1)
O 0.8999 0.2198 0.7562 (multiplicity 1)
O 0.9014 0.4160 0.3603 (multiplicity 1)
O 0.9103 0.5471 0.4083 (multiplicity 1)
O 0.9111 0.4208 0.0711 (multiplicity 1)
O 0.9112 0.5418 0.1303 (multiplicity 1)
O 0.9116 0.8838 0.0881 (multiplicity 1)
O 0.9154 0.2009 0.4582 (multiplicity 1)
O 0.9184 0.7595 0.0320 (multiplicity 1)
O 0.9225 0.0803 0.4012 (multiplicity 1)

Values from the calculation:
**Theoretical density**: 3.08 g cm⁻³
**Formation enthalpy at 0 K**: -2.3159 eV per atom

A plane-wave DFT calculation with PBE-GGA was carried out for an optimized crystal structure of CsRe2N3.

Cell lengths 10.5856, 14.6019, 7.3541 Å; angles 90.00, 125.20, 90.00 degrees
Space group C2/c (No. 15)
Unique sites:
Cs 0.0000 0.0117 0.2500 (multiplicity 4)
Cs 0.0000 0.4662 0.7500 (multiplicity 4)
Re 0.1258 0.2787 0.4576 (multiplicity 8)
Re 0.1567 0.2104 0.1057 (multiplicity 8)
N 0.0694 0.1977 0.6160 (multiplicity 8)
N 0.1718 0.2047 0.8378 (multiplicity 8)
N 0.2167 0.3792 0.6698 (multiplicity 8)

Values from the calculation:
**Theoretical density**: 7.83 g cm⁻³
**Formation enthalpy at 0 K**: 0.0584 eV per atom

> Among the records above, which one has the highest formation enthalpy at 0 K?

CsRe2N3

> The highest formation enthalpy at 0 K belongs to which entry?

CsRe2N3